Version P
Material: Nb6HI11
Method: DFT, PBE
State: relaxed

Summary:
- ρ (g/cm3) = 5.08
- crystal system = orthorhombic

Unit cell a=11.560 b=13.875 c=15.920 alpha=90.00 beta=90.00 gamma=90.00
Fractional coordinates of all 72 atoms:
1 Nb 0.101 0.475 0.397
2 Nb 0.399 0.475 0.103
3 Nb 0.601 0.025 0.603
4 Nb 0.899 0.025 0.897
5 Nb 0.899 0.525 0.603
6 Nb 0.601 0.525 0.897
7 Nb 0.399 0.975 0.397
8 Nb 0.101 0.975 0.103
9 Nb 0.133 0.580 0.551
10 Nb 0.367 0.580 0.949
11 Nb 0.633 0.920 0.449
12 Nb 0.867 0.920 0.051
13 Nb 0.867 0.420 0.449
14 Nb 0.633 0.420 0.051
15 Nb 0.367 0.080 0.551
16 Nb 0.133 0.080 0.949
17 Nb 0.932 0.623 0.449
18 Nb 0.568 0.623 0.051
19 Nb 0.432 0.877 0.551
20 Nb 0.068 0.877 0.949
21 Nb 0.068 0.377 0.551
22 Nb 0.432 0.377 0.949
23 Nb 0.568 0.123 0.449
24 Nb 0.932 0.123 0.051
25 H 0.000 0.500 0.500
26 H 0.500 0.500 0.000
27 H 0.500 0.000 0.500
28 H 0.000 0.000 0.000
29 I 0.159 0.676 0.391
30 I 0.341 0.676 0.109
31 I 0.659 0.824 0.609
32 I 0.841 0.824 0.891
33 I 0.841 0.324 0.609
34 I 0.659 0.324 0.891
35 I 0.341 0.176 0.391
36 I 0.159 0.176 0.109
37 I 0.026 0.276 0.394
38 I 0.474 0.276 0.106
39 I 0.526 0.224 0.606
40 I 0.974 0.224 0.894
41 I 0.974 0.724 0.606
42 I 0.526 0.724 0.894
43 I 0.474 0.776 0.394
44 I 0.026 0.776 0.106
45 I 0.907 0.521 0.291
46 I 0.593 0.521 0.209
47 I 0.407 0.979 0.709
48 I 0.093 0.979 0.791
49 I 0.093 0.479 0.709
50 I 0.407 0.479 0.791
51 I 0.593 0.021 0.291
52 I 0.907 0.021 0.209
53 I 0.298 0.436 0.504
54 I 0.202 0.436 0.996
55 I 0.798 0.064 0.496
56 I 0.702 0.064 0.004
57 I 0.702 0.564 0.496
58 I 0.798 0.564 0.004
59 I 0.202 0.936 0.504
60 I 0.298 0.936 0.996
61 I 0.831 0.804 0.377
62 I 0.669 0.804 0.123
63 I 0.331 0.696 0.623
64 I 0.169 0.696 0.877
65 I 0.169 0.196 0.623
66 I 0.331 0.196 0.877
67 I 0.669 0.304 0.377
68 I 0.831 0.304 0.123
69 I 0.250 0.424 0.250
70 I 0.750 0.076 0.750
71 I 0.750 0.576 0.750
72 I 0.250 0.924 0.250

Version Q
Material: Nb6HI11
Method: DFT, PBE
State: relaxed

Summary:
- ρ (g/cm3) = 5.10
- crystal system = orthorhombic

Unit cell a=11.596 b=13.735 c=15.971 alpha=90.00 beta=90.00 gamma=90.00
Fractional coordinates of all 72 atoms:
1 Nb 0.912 0.276 0.607
2 Nb 0.412 0.724 0.393
3 Nb 0.412 0.224 0.107
4 Nb 0.912 0.776 0.893
5 Nb 0.116 0.227 0.401
6 Nb 0.616 0.773 0.599
7 Nb 0.616 0.273 0.901
8 Nb 0.116 0.727 0.099
9 Nb 0.873 0.174 0.451
10 Nb 0.373 0.826 0.549
11 Nb 0.373 0.326 0.951
12 Nb 0.873 0.674 0.049
13 Nb 0.141 0.335 0.548
14 Nb 0.641 0.665 0.452
15 Nb 0.641 0.165 0.048
16 Nb 0.141 0.835 0.952
17 Nb 0.078 0.128 0.551
18 Nb 0.578 0.872 0.449
19 Nb 0.578 0.372 0.051
20 Nb 0.078 0.628 0.949
21 Nb 0.932 0.369 0.449
22 Nb 0.432 0.631 0.551
23 Nb 0.432 0.131 0.949
24 Nb 0.932 0.869 0.051
25 H 0.010 0.253 0.502
26 H 0.510 0.747 0.498
27 H 0.510 0.247 0.002
28 H 0.010 0.753 0.998
29 I 0.851 0.073 0.612
30 I 0.351 0.927 0.388
31 I 0.351 0.427 0.112
32 I 0.851 0.573 0.888
33 I 0.156 0.433 0.388
34 I 0.656 0.567 0.612
35 I 0.656 0.067 0.888
36 I 0.156 0.933 0.112
37 I 0.977 0.479 0.602
38 I 0.477 0.521 0.398
39 I 0.477 0.021 0.102
40 I 0.977 0.979 0.898
41 I 0.033 0.027 0.395
42 I 0.533 0.973 0.605
43 I 0.533 0.473 0.895
44 I 0.033 0.527 0.105
45 I 0.110 0.232 0.708
46 I 0.610 0.768 0.292
47 I 0.610 0.268 0.208
48 I 0.110 0.732 0.792
49 I 0.925 0.265 0.291
50 I 0.425 0.735 0.709
51 I 0.425 0.235 0.791
52 I 0.925 0.765 0.209
53 I 0.709 0.313 0.511
54 I 0.209 0.687 0.489
55 I 0.209 0.187 0.011
56 I 0.709 0.813 0.989
57 I 0.308 0.189 0.511
58 I 0.808 0.811 0.489
59 I 0.808 0.311 0.011
60 I 0.308 0.689 0.989
61 I 0.172 0.941 0.619
62 I 0.672 0.059 0.381
63 I 0.672 0.559 0.119
64 I 0.172 0.441 0.881
65 I 0.826 0.544 0.374
66 I 0.326 0.456 0.626
67 I 0.326 0.956 0.874
68 I 0.826 0.044 0.126
69 I 0.784 0.319 0.765
70 I 0.284 0.681 0.235
71 I 0.284 0.181 0.265
72 I 0.784 0.819 0.735

Stability, lowest: version Q

Version P
Material: InHSeO4
Method: DFT, PBE
State: relaxed

Summary:
- ρ (g/cm3) = 4.48
- crystal system = triclinic

Unit cell a=5.782 b=8.190 c=8.302 alpha=87.63 beta=79.52 gamma=83.04
Fractional coordinates of all 28 atoms:
1 In 0.810 0.687 0.485
2 In 0.397 0.977 0.813
3 In 0.603 0.023 0.187
4 In 0.190 0.313 0.515
5 H 0.651 0.239 0.393
6 H 0.994 0.075 0.698
7 H 0.006 0.925 0.302
8 H 0.349 0.761 0.607
9 Se 0.397 0.644 0.236
10 Se 0.929 0.731 0.880
11 Se 0.603 0.356 0.764
12 Se 0.071 0.269 0.120
13 O 0.025 0.213 0.324
14 O 0.652 0.569 0.304
15 O 0.496 0.784 0.641
16 O 0.142 0.817 0.952
17 O 0.851 0.885 0.314
18 O 0.149 0.115 0.686
19 O 0.172 0.564 0.386
20 O 0.828 0.436 0.614
21 O 0.666 0.865 0.961
22 O 0.348 0.431 0.696
23 O 0.649 0.153 0.706
24 O 0.351 0.847 0.294
25 O 0.975 0.787 0.676
26 O 0.504 0.216 0.359
27 O 0.334 0.135 0.039
28 O 0.858 0.183 0.048

Version Q
Material: InHSeO4
Method: DFT, PBE
State: relaxed

Summary:
- ρ (g/cm3) = 4.60
- crystal system = orthorhombic

Unit cell a=4.937 b=6.427 c=11.775 alpha=90.00 beta=90.00 gamma=90.00
Fractional coordinates of all 28 atoms:
1 In 0.513 0.986 0.010
2 In 0.013 0.486 0.490
3 In 0.487 0.486 0.990
4 In 0.987 0.986 0.510
5 H 0.020 0.084 0.868
6 H 0.980 0.584 0.132
7 H 0.520 0.584 0.632
8 H 0.480 0.084 0.368
9 Se 0.982 0.737 0.805
10 Se 0.518 0.737 0.305
11 Se 0.018 0.237 0.195
12 Se 0.482 0.237 0.695
13 O 0.772 0.733 0.926
14 O 0.728 0.733 0.426
15 O 0.228 0.233 0.074
16 O 0.272 0.233 0.574
17 O 0.164 0.980 0.850
18 O 0.278 0.558 0.335
19 O 0.836 0.480 0.150
20 O 0.722 0.058 0.665
21 O 0.778 0.058 0.165
22 O 0.664 0.480 0.650
23 O 0.222 0.558 0.835
24 O 0.336 0.980 0.350
25 O 0.667 0.230 0.916
26 O 0.833 0.230 0.416
27 O 0.333 0.730 0.084
28 O 0.167 0.730 0.584

Stability, lowest: version Q